No. 1
The following is a GGA-PBE calculation of crystalline LaH3O3 at its relaxed geometry, from the Materials Project database.

Values from the calculation:
Distance to the lowest polymorph of the same formula (eV per atom): 0.004
MP2020-corrected energy (eV per atom): -6.513
Formation enthalpy at 0 K (kJ/mol of atoms): -215.50

Lattice parameters (Å, degrees): 6.617 3.832 6.665 90.00 119.33 90.00
Space group Pm (No. 6)
Symmetry-distinct sites (fractional):
La: 0.000 0.000 0.000 x1
La: 0.327 0.500 0.660 x1
H: 0.387 0.500 0.195 x1
H: 0.524 0.000 0.029 x1
H: 0.528 0.000 0.479 x1
H: 0.800 0.500 0.187 x1
H: 0.808 0.500 0.621 x1
H: 0.948 0.000 0.474 x1
O: 0.058 0.000 0.417 x1
O: 0.270 0.500 0.244 x1
O: 0.357 0.000 0.928 x1
O: 0.578 0.000 0.643 x1
O: 0.754 0.500 0.024 x1
O: 0.974 0.500 0.730 x1

No. 2
The following is a GGA-PBE calculation of crystalline LaH3O3 at its relaxed geometry, from the Materials Project database.

Values from the calculation:
Distance to the lowest polymorph of the same formula (eV per atom): 0.002
MP2020-corrected energy (eV per atom): -6.515
Formation enthalpy at 0 K (kJ/mol of atoms): -215.65

Lattice parameters (Å, degrees): 3.831 6.571 6.612 60.58 87.82 87.61
Space group P1 (No. 1)
Symmetry-distinct sites (fractional):
La: 0.000 0.000 0.000 x1
La: 0.490 0.330 0.338 x1
H: 0.030 0.941 0.535 x1
H: 0.403 0.383 0.803 x1
H: 0.509 0.801 0.812 x1
H: 0.515 0.808 0.373 x1
H: 0.915 0.531 0.525 x1
H: 0.917 0.514 0.961 x1
O: 0.001 0.059 0.584 x1
O: 0.012 0.356 0.058 x1
O: 0.492 0.977 0.268 x1
O: 0.507 0.282 0.746 x1
O: 0.527 0.745 0.978 x1
O: 0.985 0.584 0.362 x1

No. 3
The following is a GGA-PBE calculation of crystalline LaH3O3 at its relaxed geometry, from the Materials Project database.

Values from the calculation:
Distance to the lowest polymorph of the same formula (eV per atom): 0.085
MP2020-corrected energy (eV per atom): -6.433
Formation enthalpy at 0 K (kJ/mol of atoms): -207.72

Lattice parameters (Å, degrees): 5.476 11.302 6.883 90.00 95.91 90.00
Space group P2_1/c (No. 14)
Symmetry-distinct sites (fractional):
La: 0.011 0.170 0.459 x4
H: 0.238 0.025 0.792 x4
H: 0.311 0.619 0.730 x4
H: 0.413 0.195 0.185 x4
O: 0.204 0.007 0.654 x4
O: 0.228 0.693 0.755 x4
O: 0.234 0.187 0.173 x4

No. 4
The following is a GGA-PBE calculation of crystalline LaH3O3 at its relaxed geometry, from the Materials Project database.

Values from the calculation:
Distance to the lowest polymorph of the same formula (eV per atom): 0.002
MP2020-corrected energy (eV per atom): -6.515
Formation enthalpy at 0 K (kJ/mol of atoms): -215.65

Lattice parameters (Å, degrees): 6.617 3.832 6.665 90.00 119.33 90.00
Space group P2_1/m (No. 11)
Symmetry-distinct sites (fractional):
La: 0.164 0.250 0.330 x2
H: 0.216 0.250 0.856 x2
H: 0.360 0.750 0.699 x2
H: 0.365 0.750 0.149 x2
O: 0.105 0.250 0.913 x2
O: 0.193 0.750 0.598 x2
O: 0.414 0.750 0.313 x2

No. 5
The following is a GGA-PBE calculation of crystalline LaH3O3 at its relaxed geometry, from the Materials Project database.

Values from the calculation:
Distance to the lowest polymorph of the same formula (eV per atom): 0.000
MP2020-corrected energy (eV per atom): -6.517
Formation enthalpy at 0 K (kJ/mol of atoms): -215.88

Lattice parameters (Å, degrees): 6.5598 6.5598 3.8637 90.00 90.00 120.00
Space group P6_3/m (No. 176)
Symmetry-distinct sites (fractional):
La: 0.3333 0.6667 0.2500 x2
H: 0.1373 0.2762 0.7500 x6
O: 0.0826 0.3902 0.7500 x6

No. 6
The following is a GGA-PBE calculation of crystalline La2P3H3O9 at its relaxed geometry, from the Materials Project database.

Values from the calculation:
MP2020-corrected energy (eV per atom): -7.413
Formation enthalpy at 0 K (kJ/mol of atoms): -256.53

Lattice parameters (Å, degrees): 8.412 14.896 7.119 90.00 90.00 90.00
Space group Pnma (No. 62)
Symmetry-distinct sites (fractional):
La: 0.201 0.074 0.153 x8
P: 0.032 0.750 0.885 x4
P: 0.048 0.099 0.663 x8
H: 0.098 0.183 0.734 x8
H: 0.114 0.750 0.059 x4
O: 0.064 0.029 0.826 x8
O: 0.073 0.661 0.785 x8
O: 0.126 0.609 0.393 x8
O: 0.149 0.250 0.080 x4
O: 0.164 0.071 0.505 x8

No. 7
The following is a GGA-PBE calculation of crystalline La2P3H5O10 at its relaxed geometry, from the Materials Project database.

Values from the calculation:
MP2020-corrected energy (eV per atom): -7.083
Formation enthalpy at 0 K (kJ/mol of atoms): -236.87

Lattice parameters (Å, degrees): 21.113 6.791 14.317 90.00 101.28 90.00
Space group C2/c (No. 15)
Symmetry-distinct sites (fractional):
La: 0.112 0.116 0.155 x8
La: 0.218 0.003 0.416 x8
P: 0.061 0.075 0.883 x8
P: 0.133 0.369 0.554 x8
P: 0.219 0.491 0.818 x8
H: 0.004 0.414 0.178 x8
H: 0.037 0.267 0.862 x8
H: 0.063 0.440 0.677 x8
H: 0.089 0.407 0.467 x8
H: 0.173 0.369 0.761 x8
O: 0.004 0.064 0.378 x8
O: 0.051 0.426 0.197 x8
O: 0.097 0.250 0.618 x8
O: 0.105 0.029 0.810 x8
O: 0.108 0.085 0.981 x8
O: 0.159 0.432 0.097 x8
O: 0.185 0.311 0.325 x8
O: 0.192 0.257 0.529 x8
O: 0.222 0.011 0.731 x8
O: 0.238 0.378 0.914 x8

No. 8
The following is a GGA-PBE calculation of crystalline LaP2H2O9 at its relaxed geometry, from the Materials Project database.

Values from the calculation:
MP2020-corrected energy (eV per atom): -6.397
Formation enthalpy at 0 K (kJ/mol of atoms): -154.93

Lattice parameters (Å, degrees): 9.356 7.292 13.631 90.00 104.71 90.00
Space group P2_1/c (No. 14)
Symmetry-distinct sites (fractional):
La: 0.044 0.245 0.328 x4
P: 0.032 0.743 0.919 x4
P: 0.318 0.545 0.744 x4
H: 0.179 0.709 0.974 x4
H: 0.364 0.037 0.163 x4
O: 0.014 0.083 0.659 x4
O: 0.033 0.584 0.353 x4
O: 0.061 0.244 0.005 x4
O: 0.221 0.709 0.710 x4
O: 0.272 0.100 0.308 x4
O: 0.390 0.137 0.959 x4
O: 0.416 0.015 0.652 x4
O: 0.481 0.644 0.810 x4
O: 0.499 0.734 0.526 x4

No. 9
The following is a GGA-PBE calculation of crystalline LaP3H8O7 at its relaxed geometry, from the Materials Project database.

Values from the calculation:
MP2020-corrected energy (eV per atom): -6.024
Formation enthalpy at 0 K (kJ/mol of atoms): -159.94

Lattice parameters (Å, degrees): 7.314 8.100 9.062 110.71 98.21 104.62
Space group P-1 (No. 2)
Symmetry-distinct sites (fractional):
La: 0.160 0.317 0.368 x2
P: 0.033 0.193 0.912 x2
P: 0.348 0.682 0.768 x2
P: 0.468 0.728 0.313 x2
H: 0.038 0.347 0.870 x2
H: 0.148 0.996 0.559 x2
H: 0.187 0.800 0.480 x2
H: 0.226 0.184 0.918 x2
H: 0.344 0.624 0.899 x2
H: 0.367 0.873 0.840 x2
H: 0.453 0.623 0.145 x2
H: 0.455 0.901 0.315 x2
O: 0.005 0.240 0.084 x2
O: 0.111 0.867 0.548 x2
O: 0.113 0.981 0.226 x2
O: 0.152 0.573 0.640 x2
O: 0.289 0.637 0.358 x2
O: 0.329 0.238 0.586 x2
O: 0.473 0.339 0.293 x2

No. 10
The following is a GGA-PBE calculation of crystalline LaP3H6O6 at its relaxed geometry, from the Materials Project database.

Values from the calculation:
MP2020-corrected energy (eV per atom): -6.072
Formation enthalpy at 0 K (kJ/mol of atoms): -156.41

Lattice parameters (Å, degrees): 6.937 7.299 8.806 83.51 76.64 76.55
Space group P-1 (No. 2)
Symmetry-distinct sites (fractional):
La: 0.234 0.412 0.142 x2
P: 0.141 0.295 0.573 x2
P: 0.229 0.769 0.805 x2
P: 0.392 0.870 0.180 x2
H: 0.139 0.832 0.674 x2
H: 0.177 0.928 0.896 x2
H: 0.248 0.109 0.585 x2
H: 0.275 0.830 0.332 x2
H: 0.288 0.406 0.566 x2
H: 0.480 0.961 0.525 x2
O: 0.019 0.678 0.276 x2
O: 0.078 0.322 0.416 x2
O: 0.119 0.616 0.899 x2
O: 0.281 0.060 0.116 x2
O: 0.428 0.693 0.087 x2
O: 0.458 0.710 0.748 x2

| no. | V (Å³/cell) |
| --- | --- |
| 1 | 147.3 |
| 2 | 144.8 |
| 3 | 423.7 |
| 4 | 147.3 |
| 5 | 144.0 |
| 6 | 892.1 |
| 7 | 2013.2 |
| 8 | 899.5 |
| 9 | 469.6 |
| 10 | 421.1 |